Entry 1:
The following is a PBE calculation of a relaxed EuAg5 crystal, from the Materials Project.

## Properties
space group: P6/mmm, No. 191
formation energy: -172 meV/atom

a = 5.727 Å, b = 5.727 Å, c = 4.697 Å
α = 90.00°, β = 90.00°, γ = 120.00°
Sites, in units of the cell vectors:
Eu1 0.000 0.000 0.000
Ag1 0.000 0.500 0.500
Ag2 0.333 0.667 0.000
Ag3 0.500 0.000 0.500
Ag4 0.500 0.500 0.500
Ag5 0.667 0.333 0.000



Entry 2:
The following is a PBE calculation of a relaxed Eu3Ag2 crystal, from the Materials Project.

## Properties
space group: P4/mbm, No. 127
formation energy: -283 meV/atom

a = 8.540 Å, b = 8.540 Å, c = 4.525 Å
α = 90.00°, β = 90.00°, γ = 90.00°
Sites, in units of the cell vectors:
Eu1 0.000 0.000 0.000
Eu2 0.169 0.331 0.500
Eu3 0.331 0.831 0.500
Eu4 0.500 0.500 0.000
Eu5 0.669 0.169 0.500
Eu6 0.831 0.669 0.500
Ag1 0.123 0.623 0.000
Ag2 0.377 0.123 0.000
Ag3 0.623 0.877 0.000
Ag4 0.877 0.377 0.000



Entry 3:
The following is a PBE calculation of a relaxed EuAg crystal, from the Materials Project.

## Properties
space group: Pnma, No. 62
formation energy: -322 meV/atom

a = 7.998 Å, b = 4.777 Å, c = 6.240 Å
α = 90.00°, β = 90.00°, γ = 90.00°
Sites, in units of the cell vectors:
Eu1 0.179 0.250 0.133
Eu2 0.321 0.750 0.633
Eu3 0.679 0.250 0.367
Eu4 0.821 0.750 0.867
Ag1 0.042 0.250 0.626
Ag2 0.458 0.750 0.126
Ag3 0.542 0.250 0.874
Ag4 0.958 0.750 0.374



Number 1: calculated total energy -4.242 eV per atom. Number 2: calculated total energy -7.570 eV per atom. Number 3: calculated total energy -6.867 eV per atom.